Material: ErBiPt
Method: DFT, GGA-PBE
State: optimized geometry

Cell: 4.7470 4.7470 4.7470 Å, 60.00 60.00 60.00°
With the nearest neighbours (Å) after each atom.
Fractional positions:
1 Er 0.5000 0.5000 0.5000  4 Pt 2.91
2 Pt 0.7500 0.7500 0.7500  4 Bi 2.91, 4 Er 2.91
3 Bi 0.0000 0.0000 0.0000  4 Pt 2.91

Formation enthalpy at 0 K in eV/atom: -1.02

---

Material: SmTa3
Method: DFT, GGA-PBE
State: optimized geometry

Cell: 4.8878 4.8878 4.8878 Å, 60.00 60.00 60.00°
With the nearest neighbours (Å) after each atom.
Fractional positions:
1 Ta 0.7500 0.7500 0.7500  4 Ta 2.99, 4 Sm 2.99
2 Ta 0.5000 0.5000 0.5000  8 Ta 2.99
3 Ta 0.2500 0.2500 0.2500  4 Ta 2.99, 4 Sm 2.99
4 Sm 0.0000 0.0000 0.0000  8 Ta 2.99

Formation enthalpy at 0 K in eV/atom: 0.48

---

Material: Ba3MgSb2O9
Method: DFT, GGA-PBE
State: optimized geometry

Cell: 5.9339 5.9339 14.6584 Å, 90.00 90.00 120.00°
With the nearest neighbours (Å) after each atom.
Fractional positions:
1 Sb 0.3333 0.6667 0.1515  6 O 1.96-2.10
2 O 0.0367 0.5183 0.2500  2 Sb 2.10
3 O 0.8309 0.1691 0.5837  1 Sb 1.96, 1 Mg 2.13
4 O 0.1691 0.8309 0.0837  1 Sb 1.96, 1 Mg 2.13
5 O 0.4817 0.9633 0.2500  2 Sb 2.10
6 Mg 0.0000 0.0000 0.0000  6 O 2.13
7 O 0.6618 0.8309 0.0837  1 Sb 1.96, 1 Mg 2.13
8 O 0.8309 0.6618 0.9163  1 Sb 1.96, 1 Mg 2.13
9 Sb 0.6667 0.3333 0.6515  6 O 1.96-2.10
10 Ba 0.3333 0.6667 0.9121  12 O 2.97-3.04
11 O 0.3382 0.1691 0.5837  1 Sb 1.96, 1 Mg 2.13
12 O 0.6618 0.8309 0.4163  1 Sb 1.96, 1 Mg 2.13
13 O 0.9633 0.4817 0.7500  2 Sb 2.10
14 O 0.4817 0.5183 0.2500  2 Sb 2.10
15 O 0.5183 0.0367 0.7500  2 Sb 2.10
16 Ba 0.6667 0.3333 0.4121  12 O 2.97-3.04
17 O 0.8309 0.1691 0.9163  1 Sb 1.96, 1 Mg 2.13
18 Ba 0.3333 0.6667 0.5879  12 O 2.97-3.04
19 O 0.8309 0.6618 0.5837  1 Sb 1.96, 1 Mg 2.13
20 O 0.3382 0.1691 0.9163  1 Sb 1.96, 1 Mg 2.13
21 Ba 0.6667 0.3333 0.0879  12 O 2.97-3.04
22 Mg 0.0000 0.0000 0.5000  6 O 2.13
23 O 0.5183 0.4817 0.7500  2 Sb 2.10
24 Sb 0.3333 0.6667 0.3485  6 O 1.96-2.10
25 O 0.1691 0.3382 0.0837  1 Sb 1.96, 1 Mg 2.13
26 Ba 0.0000 0.0000 0.7500  12 O 2.97-2.99
27 O 0.1691 0.3382 0.4163  1 Sb 1.96, 1 Mg 2.13
28 Ba 0.0000 0.0000 0.2500  12 O 2.97-2.99
29 Sb 0.6667 0.3333 0.8485  6 O 1.96-2.10
30 O 0.1691 0.8309 0.4163  1 Sb 1.96, 1 Mg 2.13

Formation enthalpy at 0 K in eV/atom: -2.70

---

Material: Sc2ZnSe4
Method: DFT, GGA-PBE
State: optimized geometry

Cell: 7.8276 7.8276 7.8276 Å, 60.00 60.00 60.00°
With the nearest neighbours (Å) after each atom.
Fractional positions:
1 Zn 0.2500 0.2500 0.2500  4 Se 2.49
2 Sc 0.6250 0.1250 0.6250  6 Se 2.72
3 Zn 0.0000 0.0000 0.0000  4 Se 2.49
4 Se 0.3797 0.8608 0.3797  1 Zn 2.49, 3 Sc 2.72
5 Se 0.3797 0.3797 0.8608  1 Zn 2.49, 3 Sc 2.72
6 Se 0.8703 0.8703 0.3892  1 Zn 2.49, 3 Sc 2.72
7 Se 0.3892 0.8703 0.8703  1 Zn 2.49, 3 Sc 2.72
8 Sc 0.6250 0.6250 0.6250  6 Se 2.72
9 Sc 0.1250 0.6250 0.6250  6 Se 2.72
10 Se 0.8608 0.3797 0.3797  1 Zn 2.49, 3 Sc 2.72
11 Sc 0.6250 0.6250 0.1250  6 Se 2.72
12 Se 0.8703 0.3892 0.8703  1 Zn 2.49, 3 Sc 2.72
13 Se 0.3797 0.3797 0.3797  1 Zn 2.49, 3 Sc 2.72
14 Se 0.8703 0.8703 0.8703  1 Zn 2.49, 3 Sc 2.72

Formation enthalpy at 0 K in eV/atom: -1.67